Entry 1:
Na3Al2P3O12 | PBE | optimized geometry

Values from the calculation:
The formation energy from the elements comes out at -2.882 eV per atom. The value obtained for the calculated volume is 910 Å³/cell. The value obtained for the energy relative to the lowest polymorph listed for this composition is 0.2 meV per atom.

The structure in extended XYZ format:
```
80
Lattice="-14.398 2.739 -2.744 -1.886 -8.182 1.730 3.746 0.776 7.752" Properties=species:S:1:pos:R:3 pbc="T T T"
P -7.325 -2.848 1.479
P -8.189 -4.936 5.553
P -3.985 -5.765 6.411
P -5.301 -1.808 5.218
P 0.817 -0.127 1.986
P -4.368 0.310 1.168
P -2.334 -4.396 2.563
P 0.954 -7.268 7.455
P -12.510 -2.411 0.661
P -0.047 -2.214 6.060
P -8.590 1.064 0.326
P -10.241 -0.304 4.173
O -8.733 0.040 4.165
O -3.883 -1.145 5.362
O -0.526 -3.695 6.263
O 0.685 -1.844 7.376
O -10.929 0.673 5.167
O -11.294 -3.331 0.920
O 2.342 0.374 7.066
O -3.152 -0.609 1.426
O -6.261 -0.705 4.716
O -13.280 -2.834 -0.608
O -6.309 -3.933 1.993
O -4.616 -5.583 5.014
O -14.880 -5.097 -0.380
O -2.126 -2.901 2.137
O 0.912 -2.120 4.857
O -2.341 0.950 5.104
O -3.856 -4.664 2.534
O -1.312 -1.367 5.795
O -5.312 0.179 2.396
O -12.565 1.528 -0.244
O -10.872 -0.123 2.777
O -1.711 -4.502 3.980
O -6.738 -2.376 0.127
O -0.557 -0.822 1.865
O -5.800 -2.347 6.559
O -7.967 0.959 1.743
O -8.699 -3.544 1.358
O -5.138 -0.112 -0.101
O -11.345 2.497 1.972
O -10.111 0.797 0.296
O -5.090 -2.964 4.209
O -9.454 -4.089 5.288
O -10.483 -1.772 4.597
O -12.025 -3.867 4.855
O -5.819 -6.402 2.700
O -1.614 -5.340 1.579
O -6.781 1.766 4.026
O -7.429 -1.679 2.460
O -7.230 -4.842 4.350
O -4.674 -4.787 7.405
O -2.478 -5.420 6.402
O -12.075 -0.941 0.463
O -1.174 -7.139 4.697
O -0.005 -6.166 6.954
O -7.457 -4.565 6.869
O -13.454 -2.543 1.889
O -7.870 0.121 -0.658
O -10.268 -5.623 1.630
Al -9.872 -4.383 0.093
Al -5.481 -4.714 3.611
Al -0.825 -5.471 5.364
Al -7.081 -0.011 3.127
Al -11.737 0.747 1.373
Al -1.730 -1.661 0.600
Al -2.663 -0.228 6.620
Al -10.806 -2.949 6.113
Na -2.132 -0.840 3.588
Na -4.605 1.123 4.606
Na -1.268 -4.827 8.390
Na -9.177 2.215 3.424
Na -12.674 -5.217 1.038
Na -7.981 -5.785 2.109
Na -2.921 -3.245 5.662
Na 0.161 -3.063 2.615
Na 1.651 -4.337 6.843
Na -10.274 -3.561 3.081
Na -7.524 0.634 6.152
Na -4.532 -2.496 1.545
```

Entry 2:
Sr4CaYGa2Cu4O14 | PBE | optimized geometry

Values from the calculation:
The formation energy from the elements comes out at -2.039 eV per atom. The value obtained for the calculated volume is 414 Å³/cell. The value obtained for the energy relative to the lowest polymorph listed for this composition is 353.8 meV per atom.

The structure in extended XYZ format:
```
26
Lattice="7.087 0.000 0.000 -2.189 7.364 0.000 -0.861 -1.644 7.939" Properties=species:S:1:pos:R:3 pbc="T T T"
O -0.744 5.411 5.063
O -1.006 5.177 3.590
O -0.356 1.405 6.645
O 4.404 1.598 4.085
O 2.900 3.099 6.910
O 1.790 0.840 3.857
O 2.602 6.150 5.825
O -0.891 5.800 0.257
O 2.699 3.084 1.748
O 1.932 3.967 4.115
O 1.570 6.044 1.955
O 5.400 2.581 0.777
O 1.344 -0.595 7.696
O 6.426 0.234 2.011
Cu 1.308 2.117 6.745
Cu 3.632 2.021 0.340
Cu 0.555 6.961 0.692
Cu 5.210 1.631 2.375
Y 0.961 6.535 4.004
Ga 2.174 4.397 5.855
Ga 2.701 2.350 3.458
Sr -0.262 -0.045 4.493
Sr -1.743 3.206 5.934
Sr 0.352 3.991 1.528
Sr 4.012 5.217 1.458
Ca -0.960 -0.622 7.823
```

no.,total magnetic moment (μB/f.u.)
1,0.00
2,1.00